# 1
Below is a relaxed structure of Tm3Cu4Ge4, with properties calculated at the PBE-GGA level.

Energy of formation from the pure elements = -6.77 eV per formula unit
Theoretical density = 9.222 g/cm3

Unit cell a=4.1501 b=6.6255 c=13.7729 alpha=90.00 beta=90.00 gamma=90.00
With the nearest neighbours (Å) after each atom.
Space group Immm (No. 71)
Asymmetric unit:
Tm  0.0000  0.0000  0.0000 (multiplicity 2)  6 Ge 2.91-2.98
Tm  0.0000  0.5000  0.1294 (multiplicity 4)  6 Cu 2.97-3.04, 6 Ge 2.97-3.02
Cu  0.0000  0.3087  0.3301 (multiplicity 8)  4 Ge 2.46-2.57, 1 Cu 2.53
Ge  0.0000  0.0000  0.2166 (multiplicity 4)  6 Cu 2.52-2.57
Ge  0.0000  0.1926  0.5000 (multiplicity 4)  2 Cu 2.46, 1 Ge 2.55

# 2
Below is a relaxed structure of U3Cu4Ge4, with properties calculated at the PBE-GGA level.

Energy of formation from the pure elements = -2.03 eV per formula unit
Theoretical density = 10.721 g/cm3

Unit cell a=4.3451 b=6.5116 c=13.7822 alpha=90.00 beta=90.00 gamma=90.00
With the nearest neighbours (Å) after each atom.
Space group Immm (No. 71)
Asymmetric unit:
U  0.0000  0.0000  0.0000 (multiplicity 2)  6 Ge 2.93-2.97
U  0.0000  0.5000  0.1240 (multiplicity 4)  6 Cu 3.03-3.09, 6 Ge 3.05-3.10
Cu  0.0000  0.3095  0.3295 (multiplicity 8)  4 Ge 2.46-2.58, 1 Cu 2.48
Ge  0.0000  0.0000  0.2158 (multiplicity 4)  6 Cu 2.55-2.58
Ge  0.0000  0.1973  0.5000 (multiplicity 4)  2 Cu 2.46, 1 Ge 2.57

# 3
Below is a relaxed structure of YCu2Ge2, with properties calculated at the PBE-GGA level.

Energy of formation from the pure elements = -2.53 eV per formula unit
Theoretical density = 7.040 g/cm3

Unit cell a=4.0534 b=4.0534 c=10.3736 alpha=90.00 beta=90.00 gamma=90.00
With the nearest neighbours (Å) after each atom.
Space group I4/mmm (No. 139)
Asymmetric unit:
Y  0.0000  0.0000  0.0000 (multiplicity 2)  8 Ge 3.12, 8 Cu 3.29
Cu  0.0000  0.5000  0.2500 (multiplicity 4)  4 Ge 2.44
Ge  0.0000  0.0000  0.3809 (multiplicity 4)  4 Cu 2.44, 1 Ge 2.47

# 4
Below is a relaxed structure of ZrCuGe2, with properties calculated at the PBE-GGA level.

Energy of formation from the pure elements = -1.95 eV per formula unit
Theoretical density = 7.458 g/cm3

Unit cell a=3.8117 b=3.8117 c=9.1961 alpha=90.00 beta=90.00 gamma=90.00
With the nearest neighbours (Å) after each atom.
Space group P4/nmm (No. 129, origin choice 2)
Asymmetric unit:
Zr  0.2500  0.2500  0.2389 (multiplicity 2)  8 Ge 2.81-2.91, 4 Cu 3.07
Cu  0.2500  0.7500  0.5000 (multiplicity 2)  4 Ge 2.49, 4 Cu 2.70
Ge  0.2500  0.2500  0.6747 (multiplicity 2)  4 Cu 2.49
Ge  0.2500  0.7500  0.0000 (multiplicity 2)  4 Ge 2.70, 4 Zr 2.91

# 5
Below is a relaxed structure of CuH5IO7, with properties calculated at the PBE-GGA level.

Energy of formation from the pure elements = -13.92 eV per formula unit
Theoretical density = 3.663 g/cm3
Total energy after the MP2020 corrections = -284.55 eV per cell

Unit cell a=5.3243 b=6.5956 c=15.8765 alpha=90.00 beta=90.00 gamma=90.00
With the nearest neighbours (Å) after each atom.
Space group P2_12_12_1 (No. 19)
Asymmetric unit:
Cu  0.1618  0.1434  0.0636 (multiplicity 4)  4 O 1.95-2.09
H  0.0280  0.7425  0.0877 (multiplicity 4)  1 O 0.98
H  0.0292  0.3000  0.5048 (multiplicity 4)  1 O 0.98
H  0.0313  0.0340  0.6681 (multiplicity 4)  1 O 1.02
H  0.0735  0.0730  0.2659 (multiplicity 4)  1 O 1.02
H  0.1336  0.4616  0.6603 (multiplicity 4)  1 O 1.00
I  0.2143  0.2039  0.8455 (multiplicity 4)  6 O 1.83-2.02
O  0.0036  0.4423  0.8819 (multiplicity 4)  1 H 1.02
O  0.0055  0.6254  0.3276 (multiplicity 4)  1 H 1.58
O  0.0679  0.5432  0.6124 (multiplicity 4)  1 H 1.00
O  0.0936  0.0425  0.3286 (multiplicity 4)  1 H 1.02
O  0.0990  0.2195  0.7372 (multiplicity 4)  1 H 1.68, 1 I 1.83
O  0.1013  0.8123  0.0388 (multiplicity 4)  2 H 0.98
O  0.1607  0.7976  0.4587 (multiplicity 4)  1 I 1.92, 2 Cu 1.95-2.03

# 6
Below is a relaxed structure of CuH4I2O8, with properties calculated at the PBE-GGA level.

Energy of formation from the pure elements = -14.99 eV per formula unit
Theoretical density = 4.139 g/cm3
Total energy after the MP2020 corrections = -150.58 eV per cell

Unit cell a=6.7198 b=4.8855 c=11.3367 alpha=90.00 beta=104.36 gamma=90.00
With the nearest neighbours (Å) after each atom.
Space group P2_1/c (No. 14)
Asymmetric unit:
Cu  0.0000  0.0000  0.0000 (multiplicity 2)  4 O 1.95-1.98
H  0.1784  0.0913  0.4264 (multiplicity 4)  1 O 1.01
H  0.3405  0.2340  0.5404 (multiplicity 4)  1 O 1.01
I  0.2604  0.6389  0.2681 (multiplicity 4)  3 O 1.84-1.85
O  0.0709  0.6877  0.8363 (multiplicity 4)  1 H 1.75, 1 I 1.85
O  0.2092  0.7099  0.6149 (multiplicity 4)  1 I 1.84, 1 Cu 1.95
O  0.2245  0.2278  0.9668 (multiplicity 4)  2 H 1.01
O  0.4833  0.6511  0.8411 (multiplicity 4)  1 H 1.61

# 7
Below is a relaxed structure of CuHIO4, with properties calculated at the PBE-GGA level.

Energy of formation from the pure elements = -6.51 eV per formula unit
Theoretical density = 4.711 g/cm3
Total energy after the MP2020 corrections = -141.27 eV per cell

Unit cell a=10.8068 b=6.8043 c=4.8977 alpha=90.00 beta=90.00 gamma=90.00
With the nearest neighbours (Å) after each atom.
Space group Pnma (No. 62)
Asymmetric unit:
Cu  0.0000  0.0000  0.0000 (multiplicity 4)  4 O 1.99
H  0.0165  0.2500  0.3947 (multiplicity 4)  1 O 1.00
I  0.2453  0.2500  0.0069 (multiplicity 4)  3 O 1.83-1.89
O  0.0346  0.2500  0.1953 (multiplicity 4)  1 H 1.00
O  0.1125  0.7500  0.3051 (multiplicity 4)  1 I 1.83, 1 H 2.03
O  0.1617  0.0480  0.8174 (multiplicity 8)  1 I 1.89, 1 Cu 1.99

# 8
Below is a relaxed structure of K3Cu2H7, with properties calculated at the PBE-GGA level.

Energy of formation from the pure elements = -1.02 eV per formula unit
Theoretical density = 2.903 g/cm3
Total energy after the MP2020 corrections = -72.59 eV per cell

Unit cell a=3.7757 b=3.7757 c=20.1788 alpha=90.00 beta=90.00 gamma=90.00
With the nearest neighbours (Å) after each atom.
Space group I4/mmm (No. 139)
Asymmetric unit:
K  0.0000  0.0000  0.0000 (multiplicity 2)  12 H 2.62-2.67
K  0.0000  0.0000  0.1816 (multiplicity 4)  9 H 2.64-2.88
Cu  0.0000  0.0000  0.4085 (multiplicity 4)  6 H 1.70-1.89
H  0.0000  0.0000  0.3241 (multiplicity 4)  1 Cu 1.70
H  0.0000  0.0000  0.5000 (multiplicity 2)  2 Cu 1.85
H  0.0000  0.5000  0.0900 (multiplicity 8)  2 Cu 1.89

In order of appearance, volume = 17.2, 17.7, 17.0, 16.7, 10.0, 12.0, 12.9, 12.0 Å³/atom.